Entry 1:
This record from the Materials Project describes a relaxed structure of Zr6Al2CoH10. The functional is PBE.

Values from the calculation:
- Total DFT energy (no corrections): -5.687 eV/atom
- Symmetry: No. 190
- Calculated volume: 10.75 Å³ per atom
- Energy of formation: -528 meV per atom

a = 8.133 Å, b = 8.133 Å, c = 7.131 Å
α = 90.00°, β = 90.00°, γ = 120.00°
Sites, in units of the cell vectors:
Zr: 0.000 0.738 0.000
Zr: 0.000 0.738 0.500
Zr: 0.049 0.423 0.250
Zr: 0.262 0.262 0.000
Zr: 0.262 0.262 0.500
Zr: 0.374 0.951 0.250
Zr: 0.423 0.049 0.750
Zr: 0.577 0.626 0.250
Zr: 0.626 0.577 0.750
Zr: 0.738 0.000 0.000
Zr: 0.738 0.000 0.500
Zr: 0.951 0.374 0.750
Al: 0.333 0.667 0.552
Al: 0.333 0.667 0.948
Al: 0.667 0.333 0.052
Al: 0.667 0.333 0.448
Co: 0.000 0.000 0.250
Co: 0.000 0.000 0.750
H: 0.000 0.000 0.000
H: 0.000 0.000 0.500
H: 0.000 0.279 0.000
H: 0.000 0.279 0.500
H: 0.115 0.705 0.250
H: 0.116 0.235 0.750
H: 0.119 0.884 0.750
H: 0.235 0.116 0.250
H: 0.279 0.000 0.000
H: 0.279 0.000 0.500
H: 0.295 0.410 0.250
H: 0.410 0.295 0.750
H: 0.590 0.885 0.250
H: 0.705 0.115 0.750
H: 0.721 0.721 0.000
H: 0.721 0.721 0.500
H: 0.765 0.881 0.750
H: 0.881 0.765 0.250
H: 0.884 0.119 0.250
H: 0.885 0.590 0.750

=====

Entry 2:
This record from the Materials Project describes a relaxed structure of Ce3CrS6. The functional is PBE.

Values from the calculation:
- Total DFT energy (no corrections): -6.912 eV/atom
- Symmetry: No. 58
- Calculated volume: 21.11 Å³ per atom
- Energy of formation: -1987 meV per atom

a = 13.507 Å, b = 16.119 Å, c = 3.878 Å
α = 90.00°, β = 90.00°, γ = 90.00°
Sites, in units of the cell vectors:
Ce: 0.050 0.215 0.000
Ce: 0.180 0.648 0.000
Ce: 0.242 0.902 0.500
Ce: 0.258 0.402 0.000
Ce: 0.320 0.148 0.500
Ce: 0.450 0.715 0.500
Ce: 0.550 0.285 0.500
Ce: 0.680 0.852 0.500
Ce: 0.742 0.598 0.000
Ce: 0.758 0.098 0.500
Ce: 0.820 0.352 0.000
Ce: 0.950 0.785 0.000
Cr: 0.000 0.000 0.500
Cr: 0.000 0.500 0.500
Cr: 0.500 0.000 0.000
Cr: 0.500 0.500 0.000
S: 0.024 0.404 0.000
S: 0.085 0.927 0.000
S: 0.100 0.753 0.500
S: 0.123 0.102 0.500
S: 0.179 0.520 0.500
S: 0.186 0.289 0.500
S: 0.314 0.789 0.000
S: 0.321 0.020 0.000
S: 0.377 0.602 0.000
S: 0.400 0.253 0.000
S: 0.415 0.427 0.500
S: 0.476 0.904 0.500
S: 0.524 0.096 0.500
S: 0.585 0.573 0.500
S: 0.600 0.747 0.000
S: 0.623 0.398 0.000
S: 0.679 0.980 0.000
S: 0.686 0.211 0.000
S: 0.814 0.711 0.500
S: 0.821 0.480 0.500
S: 0.877 0.898 0.500
S: 0.900 0.247 0.500
S: 0.915 0.073 0.000
S: 0.976 0.596 0.000

=====

Entry 3:
This record from the Materials Project describes a relaxed structure of Li2BiO3. The functional is PBE.

Values from the calculation:
- Total DFT energy (no corrections): -5.254 eV/atom
- Excess energy over the best structure of this formula in the dataset: 13 meV per atom
- Symmetry: No. 9
- Calculated volume: 11.76 Å³ per atom
- Energy of formation: -1839 meV per atom

a = 5.531 Å, b = 5.531 Å, c = 5.665 Å
α = 100.47°, β = 100.47°, γ = 119.29°
Sites, in units of the cell vectors:
Li: 0.076 0.924 0.500
Li: 0.232 0.744 0.002
Li: 0.744 0.232 0.502
Li: 0.924 0.076 0.000
Bi: 0.408 0.589 0.507
Bi: 0.589 0.408 0.007
O: 0.000 0.500 0.254
O: 0.177 0.334 0.756
O: 0.334 0.177 0.256
O: 0.500 0.000 0.754
O: 0.667 0.820 0.262
O: 0.820 0.667 0.762

=====

Entry 4:
This record from the Materials Project describes a relaxed structure of CeP4O12. The functional is PBE.

Values from the calculation:
- Total DFT energy (no corrections): -7.508 eV/atom
- Symmetry: No. 15
- Calculated volume: 14.18 Å³ per atom
- Energy of formation: -2878 meV per atom

a = 16.646 Å, b = 16.646 Å, c = 9.123 Å
α = 90.00°, β = 90.00°, γ = 130.28°
Sites, in units of the cell vectors:
Ce: 0.057 0.419 0.749
Ce: 0.069 0.931 0.750
Ce: 0.419 0.057 0.249
Ce: 0.431 0.569 0.250
Ce: 0.569 0.431 0.750
Ce: 0.581 0.943 0.751
Ce: 0.931 0.069 0.250
Ce: 0.943 0.581 0.251
P: 0.015 0.329 0.359
P: 0.015 0.835 0.136
P: 0.135 0.652 0.528
P: 0.138 0.150 0.984
P: 0.150 0.138 0.484
P: 0.153 0.635 0.009
P: 0.165 0.985 0.364
P: 0.170 0.484 0.132
P: 0.325 0.517 0.637
P: 0.329 0.015 0.859
P: 0.344 0.368 0.523
P: 0.348 0.865 0.972
P: 0.365 0.847 0.491
P: 0.368 0.344 0.023
P: 0.483 0.675 0.863
P: 0.484 0.170 0.632
P: 0.516 0.830 0.368
P: 0.517 0.325 0.137
P: 0.632 0.656 0.977
P: 0.635 0.153 0.509
P: 0.652 0.135 0.028
P: 0.656 0.632 0.477
P: 0.671 0.985 0.141
P: 0.675 0.483 0.363
P: 0.830 0.516 0.868
P: 0.835 0.015 0.636
P: 0.847 0.365 0.991
P: 0.850 0.862 0.516
P: 0.862 0.850 0.016
P: 0.865 0.348 0.472
P: 0.985 0.165 0.864
P: 0.985 0.671 0.641
O: 0.001 0.255 0.788
O: 0.002 0.760 0.722
O: 0.063 0.096 0.112
O: 0.063 0.358 0.509
O: 0.070 0.930 0.250
O: 0.071 0.872 0.991
O: 0.079 0.431 0.255
O: 0.090 0.160 0.400
O: 0.090 0.657 0.087
O: 0.096 0.063 0.612
O: 0.097 0.698 0.639
O: 0.099 0.196 0.876
O: 0.102 0.561 0.880
O: 0.102 0.652 0.375
O: 0.103 0.550 0.583
O: 0.128 0.425 0.990
O: 0.128 0.929 0.509
O: 0.160 0.090 0.900
O: 0.196 0.099 0.376
O: 0.197 0.596 0.120
O: 0.234 0.500 0.710
O: 0.240 0.998 0.778
O: 0.243 0.259 0.045
O: 0.255 0.001 0.288
O: 0.259 0.243 0.545
O: 0.259 0.738 0.550
O: 0.262 0.741 0.950
O: 0.263 0.502 0.201
O: 0.298 0.404 0.634
O: 0.302 0.903 0.861
O: 0.343 0.910 0.413
O: 0.346 0.401 0.370
O: 0.348 0.898 0.125
O: 0.358 0.063 0.009
O: 0.361 0.568 0.489
O: 0.399 0.446 0.082
O: 0.401 0.346 0.870
O: 0.404 0.298 0.134
O: 0.404 0.803 0.380
O: 0.423 0.577 0.750
O: 0.425 0.128 0.490
O: 0.431 0.079 0.755
O: 0.432 0.639 0.011
O: 0.439 0.898 0.620
O: 0.446 0.399 0.582
O: 0.450 0.897 0.917
O: 0.498 0.737 0.299
O: 0.500 0.234 0.210
O: 0.500 0.766 0.790
O: 0.502 0.263 0.701
O: 0.550 0.103 0.083
O: 0.554 0.601 0.418
O: 0.561 0.102 0.380
O: 0.568 0.361 0.989
O: 0.569 0.921 0.245
O: 0.575 0.872 0.510
O: 0.577 0.423 0.250
O: 0.596 0.197 0.620
O: 0.596 0.702 0.866
O: 0.599 0.654 0.130
O: 0.601 0.554 0.918
O: 0.639 0.432 0.511
O: 0.642 0.937 0.991
O: 0.652 0.102 0.875
O: 0.654 0.599 0.630
O: 0.657 0.090 0.587
O: 0.698 0.097 0.139
O: 0.702 0.596 0.366
O: 0.737 0.498 0.799
O: 0.738 0.259 0.050
O: 0.741 0.262 0.450
O: 0.741 0.757 0.455
O: 0.745 0.999 0.712
O: 0.757 0.741 0.955
O: 0.760 0.002 0.222
O: 0.766 0.500 0.290
O: 0.803 0.404 0.880
O: 0.804 0.901 0.624
O: 0.840 0.910 0.100
O: 0.872 0.071 0.491
O: 0.872 0.575 0.010
O: 0.897 0.450 0.417
O: 0.898 0.348 0.625
O: 0.898 0.439 0.120
O: 0.901 0.804 0.124
O: 0.903 0.302 0.361
O: 0.904 0.937 0.388
O: 0.910 0.343 0.913
O: 0.910 0.840 0.600
O: 0.921 0.569 0.745
O: 0.929 0.128 0.009
O: 0.930 0.070 0.750
O: 0.937 0.642 0.491
O: 0.937 0.904 0.888
O: 0.998 0.240 0.278
O: 0.999 0.745 0.212

=====

Entry 5:
This record from the Materials Project describes a relaxed structure of Ba2ErMgSbO6. The functional is PBE.

Values from the calculation:
- Total DFT energy (no corrections): -6.284 eV/atom
- Excess energy over the best structure of this formula in the dataset: 142 meV per atom
- Symmetry: No. 8
- Calculated volume: 19.43 Å³ per atom
- Energy of formation: -2675 meV per atom

a = 6.295 Å, b = 6.295 Å, c = 7.264 Å
α = 116.40°, β = 116.40°, γ = 59.90°
Sites, in units of the cell vectors:
Ba: 0.000 0.000 0.000
Ba: 0.596 0.596 0.783
Er: 0.251 0.251 0.753
Mg: 0.400 0.400 0.184
Sb: 0.806 0.806 0.423
O: 0.012 0.556 0.598
O: 0.019 0.019 0.619
O: 0.043 0.501 0.027
O: 0.494 0.494 0.021
O: 0.501 0.043 0.027
O: 0.556 0.012 0.598

=====

Entry 6:
This record from the Materials Project describes a relaxed structure of MgF2. The functional is PBE.

Values from the calculation:
- Total DFT energy (no corrections): -5.122 eV/atom
- Symmetry: No. 62
- Calculated volume: 10.07 Å³ per atom
- Energy of formation: -3620 meV per atom

a = 5.272 Å, b = 3.398 Å, c = 6.744 Å
α = 90.00°, β = 90.00°, γ = 90.00°
Sites, in units of the cell vectors:
Mg: 0.237 0.250 0.085
Mg: 0.263 0.750 0.585
Mg: 0.737 0.250 0.415
Mg: 0.763 0.750 0.915
F: 0.014 0.750 0.141
F: 0.124 0.250 0.400
F: 0.376 0.750 0.900
F: 0.486 0.250 0.641
F: 0.514 0.750 0.359
F: 0.624 0.250 0.100
F: 0.876 0.750 0.600
F: 0.986 0.250 0.859